(1)
! ZnCrF6, optimized geometry, DFT PBE+U; values from VASP
&SYSTEM
  ibrav = 0, nat = 8, ntyp = 3
/
ATOMIC_SPECIES
F 19.00 F.upf
Cr 52.00 Cr.upf
Zn 65.41 Zn.upf
ATOMIC_POSITIONS angstrom
F -2.957 3.579 3.672
F -2.482 5.129 1.605
Cr -3.948 4.828 2.712
F -5.414 4.528 3.819
F -3.370 6.178 3.856
F -4.939 6.078 1.751
F -4.526 3.478 1.567
Zn 0.000 0.000 0.000
CELL_PARAMETERS angstrom
-4.639 2.800 -0.367
-2.821 1.642 4.340
-0.436 5.215 1.451
! Formation energy from the elements ... -2.643 eV per atom
! Space-group type ... R-3
! Mass density ... 3.65 Mg/m³
! Corrected total energy (MP2020 scheme) ... -5.443 eV/atom

---

(2)
! ZrCrF6, optimized geometry, DFT PBE+U; values from VASP
&SYSTEM
  ibrav = 0, nat = 8, ntyp = 3
/
ATOMIC_SPECIES
F 19.00 F.upf
Zr 91.22 Zr.upf
Cr 52.00 Cr.upf
ATOMIC_POSITIONS angstrom
F -4.159 -4.159 -6.202
Zr -4.159 -4.159 -4.159
F -2.116 -4.159 -4.159
F -4.159 -2.116 -4.159
F -4.159 -6.202 -4.159
F -6.202 -4.159 -4.159
Cr 0.000 0.000 0.000
F -4.159 -4.159 -2.116
CELL_PARAMETERS angstrom
-4.159 -4.159 0.000
-4.159 0.000 -4.159
0.000 -4.159 -4.159
! Formation energy from the elements ... -3.571 eV per atom
! Space-group type ... Fm-3m
! Mass density ... 2.97 Mg/m³
! Corrected total energy (MP2020 scheme) ... -7.282 eV/atom
! Total moment ... 4.0 μB per formula unit

---

(3)
! ZrCrF6, optimized geometry, DFT PBE+U; values from VASP
&SYSTEM
  ibrav = 0, nat = 8, ntyp = 3
/
ATOMIC_SPECIES
F 19.00 F.upf
Zr 91.22 Zr.upf
Cr 52.00 Cr.upf
ATOMIC_POSITIONS angstrom
F 2.308 4.104 4.104
F 4.325 6.157 4.104
Zr 4.325 4.104 4.104
F 4.325 2.050 4.104
F 4.325 4.104 6.157
Cr 0.000 0.000 0.000
F 4.325 4.104 2.050
F 6.342 4.104 4.104
CELL_PARAMETERS angstrom
0.000 4.104 4.104
4.325 0.000 4.104
4.325 4.104 0.000
! Formation energy from the elements ... -3.593 eV per atom
! Space-group type ... I4/mmm
! Mass density ... 2.93 Mg/m³
! Corrected total energy (MP2020 scheme) ... -7.304 eV/atom
! Total moment ... 4.0 μB per formula unit

---

(4)
! KMgCr2FeO8, optimized geometry, DFT PBE+U; values from VASP
&SYSTEM
  ibrav = 0, nat = 13, ntyp = 5
/
ATOMIC_SPECIES
Cr 52.00 Cr.upf
K 39.10 K.upf
O 16.00 O.upf
Fe 55.84 Fe.upf
Mg 24.30 Mg.upf
ATOMIC_POSITIONS angstrom
Cr 3.298 2.090 3.161
K 7.555 4.788 9.422
O 4.895 1.348 3.484
Fe 0.300 0.190 4.402
O 5.460 3.460 8.526
O 3.309 3.851 3.484
O 3.721 3.981 6.529
O 2.769 1.754 1.453
Mg 1.228 0.778 2.048
O 1.903 1.206 3.938
O 5.188 1.665 6.529
O 6.464 4.096 6.128
Cr 5.227 3.313 6.913
CELL_PARAMETERS angstrom
5.439 0.166 0.693
2.472 4.847 0.693
0.442 0.280 8.578
! Formation energy from the elements ... -1.876 eV per atom
! Space-group type ... Cm
! Mass density ... 2.64 Mg/m³
! Corrected total energy (MP2020 scheme) ... -7.266 eV/atom
! Total moment ... 7.0 μB per formula unit

---

(5)
! KCr2FeO8, optimized geometry, DFT PBE+U; values from VASP
&SYSTEM
  ibrav = 0, nat = 24, ntyp = 4
/
ATOMIC_SPECIES
O 16.00 O.upf
K 39.10 K.upf
Cr 52.00 Cr.upf
Fe 55.84 Fe.upf
ATOMIC_POSITIONS angstrom
O 4.800 -0.095 -2.358
O 7.175 -1.030 -5.998
K 6.276 3.455 -7.657
O 9.088 -1.426 -3.827
Cr 5.989 -1.660 0.794
O 7.939 1.634 -6.187
O 8.324 -4.092 -3.640
O 10.013 -0.091 -1.684
O 2.266 2.174 -1.051
O 3.874 -1.429 -4.501
Fe 7.749 -2.561 -4.819
O 6.313 -2.058 -3.512
O 4.705 1.545 -0.060
O 11.626 -3.694 -5.137
O 5.564 2.573 -2.546
Cr 7.902 0.140 -6.980
O 7.574 0.538 -2.675
O 9.186 -3.065 -6.125
O 5.951 -3.153 0.000
Fe 6.141 1.043 -1.368
O 6.714 -0.489 -0.188
Cr 4.761 -1.587 -3.151
K 10.751 -3.247 -2.358
Cr 9.126 0.068 -3.035
CELL_PARAMETERS angstrom
1.528 5.330 -0.377
7.613 -4.974 1.471
4.749 -1.876 -7.280
! Formation energy from the elements ... -1.804 eV per atom
! Mass density ... 2.79 Mg/m³
! Corrected total energy (MP2020 scheme) ... -7.510 eV/atom
! Total moment ... 0.0 μB per formula unit

---

(6)
! KCr2FeO9, optimized geometry, DFT PBE+U; values from VASP
&SYSTEM
  ibrav = 0, nat = 26, ntyp = 4
/
ATOMIC_SPECIES
O 16.00 O.upf
Cr 52.00 Cr.upf
K 39.10 K.upf
Fe 55.84 Fe.upf
ATOMIC_POSITIONS angstrom
O 2.024 0.002 6.690
O 6.989 2.798 4.356
O 0.613 4.183 4.874
O 2.024 2.786 6.690
Cr 1.116 4.183 6.419
O 4.728 4.183 1.262
O 2.413 0.009 1.640
K 1.990 1.394 4.153
Fe 2.171 1.394 0.253
Cr 3.299 4.183 2.044
O 3.526 4.183 3.653
O 2.413 2.779 1.640
O 9.236 4.183 5.540
O 5.159 4.183 6.060
O 7.378 5.575 -0.694
O 4.243 1.394 -0.065
O 7.378 2.790 -0.694
O 0.165 1.394 0.455
Fe 7.230 4.183 5.743
K 7.411 4.183 1.843
O 8.789 1.394 1.122
Cr 8.286 1.394 -0.423
Cr 6.103 1.394 3.951
O 4.674 1.394 4.734
O 6.989 5.568 4.356
O 5.876 1.394 2.342
CELL_PARAMETERS angstrom
0.000 5.577 0.000
-0.033 0.000 7.892
9.434 0.000 -1.896
! Formation energy from the elements ... -1.492 eV per atom
! Space-group type ... P2_1/m
! Mass density ... 2.75 Mg/m³
! Corrected total energy (MP2020 scheme) ... -7.140 eV/atom
! Total moment ... 7.0 μB per formula unit